(1)
# BaBi4Cl2O6 | the Materials Project database | GGA-PBE | optimized geometry
data_BaBi4Cl2O6
_cell_length_a 3.998
_cell_length_b 3.998
_cell_length_c 32.963
_cell_angle_alpha 90.00
_cell_angle_beta 90.00
_cell_angle_gamma 90.00
_symmetry_space_group_name_H-M 'I 4/m m m'
_symmetry_Int_Tables_number 139
_symmetry_space_group_name_Hall '-I 4 2'
loop_
_atom_site_label
_atom_site_type_symbol
_atom_site_fract_x
_atom_site_fract_y
_atom_site_fract_z
Ba1 Ba 0.000 0.000 0.000
Bi1 Bi 0.000 0.000 0.287
Bi2 Bi 0.000 0.000 0.414
Cl1 Cl 0.000 0.000 0.170
O1 O 0.000 0.500 0.057
O2 O 0.000 0.500 0.250
# M_tot: 0.015 Bohr magnetons per cell
# Total DFT energy (no corrections): -5.331 eV per atom
# Energy of formation from the pure elements: -1.736 eV/atom

***

(2)
# Ba2MgCuBi2F14 | the Materials Project database | GGA-PBE | optimized geometry
data_Ba2MgCuBi2F14
_cell_length_a 14.597
_cell_length_b 5.357
_cell_length_c 16.146
_cell_angle_alpha 90.00
_cell_angle_beta 90.02
_cell_angle_gamma 90.00
_symmetry_space_group_name_H-M 'C 1 2/c 1'
_symmetry_Int_Tables_number 15
loop_
_symmetry_equiv_pos_as_xyz
'x,y,z'
'-x,-y,-z'
'-x,y,-z+1/2'
'x,-y,z+1/2'
'x+1/2,y+1/2,z'
'-x+1/2,-y+1/2,-z'
'-x+1/2,y+1/2,-z+1/2'
'x+1/2,-y+1/2,z+1/2'
loop_
_atom_site_label
_atom_site_type_symbol
_atom_site_fract_x
_atom_site_fract_y
_atom_site_fract_z
Ba1 Ba 0.181 0.102 0.372
Mg1 Mg 0.000 0.438 0.750
Cu1 Cu 0.000 0.500 0.000
Bi1 Bi 0.108 0.054 0.122
F1 F 0.017 0.163 0.828
F2 F 0.024 0.371 0.391
F3 F 0.075 0.202 0.985
F4 F 0.103 0.333 0.237
F5 F 0.148 0.280 0.545
F6 F 0.178 0.174 0.719
F7 F 0.245 0.352 0.898
# M_tot: 4.003 Bohr magnetons per cell
# Total DFT energy (no corrections): -5.063 eV per atom
# Energy of formation from the pure elements: -3.180 eV/atom